! FeCoH18C6N12, relaxed, DFT PBE-GGA; values from VASP
! - raw total energy (eV/atom) = -6.23
! - symmetry = R-3
! - MP2020-corrected energy (eV/atom) = -6.34
! - total moment (μB/f.u.) = 1.0
&SYSTEM
  ibrav = 0, nat = 38, ntyp = 5
/
ATOMIC_SPECIES
Fe 55.84 Fe.upf
Co 58.93 Co.upf
H 1.01 H.upf
C 12.01 C.upf
N 14.01 N.upf
CELL_PARAMETERS angstrom
5.524 3.189 3.633
-5.524 3.189 3.633
0.000 -6.378 3.633
ATOMIC_POSITIONS crystal
Fe 0.000 0.000 0.000
Co 0.500 0.500 0.500
H 0.160 0.345 0.436
H 0.206 0.449 0.653
H 0.246 0.594 0.273
H 0.273 0.246 0.594
H 0.345 0.436 0.160
H 0.347 0.794 0.551
H 0.406 0.727 0.754
H 0.436 0.160 0.345
H 0.449 0.653 0.206
H 0.551 0.347 0.794
H 0.564 0.840 0.655
H 0.594 0.273 0.246
H 0.653 0.206 0.449
H 0.655 0.564 0.840
H 0.727 0.754 0.406
H 0.754 0.406 0.727
H 0.794 0.551 0.347
H 0.840 0.655 0.564
C 0.049 0.771 0.874
C 0.126 0.951 0.229
C 0.229 0.126 0.951
C 0.771 0.874 0.049
C 0.874 0.049 0.771
C 0.951 0.229 0.126
N 0.075 0.630 0.792
N 0.208 0.925 0.370
N 0.261 0.372 0.551
N 0.370 0.208 0.925
N 0.372 0.551 0.261
N 0.449 0.739 0.628
N 0.551 0.261 0.372
N 0.628 0.449 0.739
N 0.630 0.792 0.075
N 0.739 0.628 0.449
N 0.792 0.075 0.630
N 0.925 0.370 0.208